[1]
VASP calculation (PBE-GGA) on a relaxed structure of AlCuBr4.

Cell and atoms, written as POSCAR:
```
AlCuBr4
1.0
-1.8600 -0.8862 5.4156
-2.5491 -4.9244 -1.6813
8.9910 -5.4065 2.2033
Cu Br Al
2 8 2
Direct
0.5000 0.5000 0.0000 Cu
0.5000 0.5000 0.5000 Cu
0.7399 0.7679 0.1263 Br
0.7399 0.2321 0.3737 Br
0.2321 0.2601 0.6263 Br
0.2601 0.2321 0.1263 Br
0.2321 0.7399 0.8737 Br
0.7679 0.7399 0.6263 Br
0.7679 0.2601 0.8737 Br
0.2601 0.7679 0.3737 Br
0.5000 0.0000 0.2500 Al
0.0000 0.5000 0.7500 Al
```

Output
The piezoelectric modulus e_max comes out at 0.28 C/m².

***

[2]
VASP calculation (PBE-GGA) on a relaxed structure of AlGaBr4.

Cell and atoms, written as POSCAR:
```
AlGaBr4
1.0
-6.3017 -3.6022 2.3843
5.7494 -7.3337 4.1159
0.3531 5.2643 8.8866
Al Br Ga
4 16 4
Direct
0.8232 0.2500 0.7500 Al
0.1768 0.7500 0.2500 Al
0.6768 0.7500 0.7500 Al
0.3232 0.2500 0.2500 Al
0.4965 0.4560 0.6857 Br
0.5035 0.5440 0.3143 Br
0.8427 0.6812 0.0517 Br
0.1573 0.1812 0.5517 Br
0.5035 0.9560 0.1857 Br
0.1573 0.3188 0.9483 Br
0.4965 0.0440 0.8143 Br
0.3427 0.8188 0.5517 Br
0.0035 0.5440 0.6857 Br
0.8427 0.8188 0.4483 Br
0.3427 0.6812 0.9483 Br
0.9965 0.0440 0.1857 Br
0.9965 0.4560 0.3143 Br
0.0035 0.9560 0.8143 Br
0.6573 0.1812 0.4483 Br
0.6573 0.3188 0.0517 Br
0.2500 0.0000 0.6784 Ga
0.7500 0.0000 0.3216 Ga
0.2500 0.5000 0.8216 Ga
0.7500 0.5000 0.1784 Ga
```

Output
The spin magnetization comes out at 0.00 Bohr magnetons per cell.

***

[3]
VASP calculation (PBE-GGA) on a relaxed structure of Na4Al2GaSi3BrO12.

Cell and atoms, written as POSCAR:
```
Na4Al2GaSi3BrO12
1.0
6.4052 6.4061 0.0000
-6.4052 6.4061 0.0000
0.0000 0.0004 9.0563
O Ga Al Br Na Si
24 2 4 2 8 6
Direct
0.6385 0.5644 0.3434 O
0.6566 0.8622 0.0652 O
0.0609 0.8524 0.6394 O
0.5644 0.6385 0.8434 O
0.4314 0.6374 0.1541 O
0.6374 0.4314 0.6541 O
0.3496 0.1398 0.0583 O
0.5573 0.3591 0.1503 O
0.8622 0.6566 0.5652 O
0.9433 0.8500 0.3595 O
0.1477 0.0611 0.8609 O
0.1500 0.9431 0.1402 O
0.4385 0.3603 0.8520 O
0.3591 0.5573 0.6503 O
0.8624 0.3434 0.4346 O
0.6503 0.1401 0.9419 O
0.8524 0.0609 0.1394 O
0.8500 0.9433 0.8595 O
0.3603 0.4385 0.3520 O
0.3434 0.8624 0.9346 O
0.1401 0.6503 0.4419 O
0.9431 0.1500 0.6402 O
0.0611 0.1477 0.3609 O
0.1398 0.3496 0.5583 O
0.4997 0.7508 0.0002 Ga
0.7508 0.4997 0.5002 Ga
0.2492 0.4996 0.5000 Al
0.4996 0.2492 0.0000 Al
0.0004 0.0004 0.7500 Al
0.0004 0.0004 0.2500 Al
0.4999 0.0001 0.5000 Br
0.0001 0.4999 0.0000 Br
0.1845 0.3149 0.8152 Na
0.3148 0.8153 0.6839 Na
0.6855 0.8162 0.3160 Na
0.1834 0.6853 0.1850 Na
0.3149 0.1845 0.3152 Na
0.8153 0.3148 0.1839 Na
0.6853 0.1834 0.6850 Na
0.8162 0.6855 0.8160 Na
0.4976 0.4981 0.2500 Si
0.2478 0.0022 0.9997 Si
0.0022 0.7522 0.5003 Si
0.7522 0.0022 0.0003 Si
0.0022 0.2478 0.4997 Si
0.4981 0.4976 0.7500 Si
```

Output
The spin magnetization comes out at 0.00 Bohr magnetons per cell.

***

[4]
VASP calculation (PBE-GGA) on a relaxed structure of Li4Al3Ge3BrO12.

Cell and atoms, written as POSCAR:
```
Li4Al3Ge3BrO12
1.0
8.7713 0.0000 0.0000
0.0000 8.7713 0.0000
0.0000 0.0000 8.7713
O Al Li Ge Br
24 6 8 6 2
Direct
0.4048 0.1391 0.1389 O
0.4048 0.8609 0.8611 O
0.1389 0.5952 0.8609 O
0.8611 0.5952 0.1391 O
0.1391 0.1389 0.4048 O
0.6391 0.9048 0.6389 O
0.6389 0.6391 0.9048 O
0.1391 0.8611 0.5952 O
0.9048 0.3611 0.3609 O
0.8609 0.8611 0.4048 O
0.8609 0.1389 0.5952 O
0.9048 0.6389 0.6391 O
0.1389 0.4048 0.1391 O
0.3609 0.9048 0.3611 O
0.3611 0.3609 0.9048 O
0.3609 0.0952 0.6389 O
0.5952 0.8609 0.1389 O
0.0952 0.6389 0.3609 O
0.6389 0.3609 0.0952 O
0.8611 0.4048 0.8609 O
0.0952 0.3611 0.6391 O
0.6391 0.0952 0.3611 O
0.5952 0.1391 0.8611 O
0.3611 0.6391 0.0952 O
0.7500 0.5000 0.0000 Al
0.0000 0.7500 0.5000 Al
0.0000 0.2500 0.5000 Al
0.5000 0.0000 0.2500 Al
0.2500 0.5000 0.0000 Al
0.5000 0.0000 0.7500 Al
0.6806 0.6806 0.6806 Li
0.1806 0.8194 0.8194 Li
0.1806 0.1806 0.1806 Li
0.3194 0.3194 0.6806 Li
0.8194 0.1806 0.8194 Li
0.8194 0.8194 0.1806 Li
0.6806 0.3194 0.3194 Li
0.3194 0.6806 0.3194 Li
0.2500 0.0000 0.5000 Ge
0.0000 0.5000 0.2500 Ge
0.0000 0.5000 0.7500 Ge
0.7500 0.0000 0.5000 Ge
0.5000 0.2500 0.0000 Ge
0.5000 0.7500 0.0000 Ge
0.0000 0.0000 0.0000 Br
0.5000 0.5000 0.5000 Br
```

Output
The piezoelectric modulus e_max comes out at 0.16 C/m². The spin magnetization comes out at 0.00 Bohr magnetons per cell.

***

[5]
VASP calculation (PBE-GGA) on a relaxed structure of Na4Al3Ge3BrO12.

Cell and atoms, written as POSCAR:
```
Na4Al3Ge3BrO12
1.0
9.2013 0.0000 0.0000
0.0000 9.2013 0.0000
0.0000 0.0000 9.2013
Na Al O Ge Br
8 6 24 6 2
Direct
0.8189 0.8189 0.1811 Na
0.6811 0.3189 0.3189 Na
0.6811 0.6811 0.6811 Na
0.1811 0.8189 0.8189 Na
0.3189 0.3189 0.6811 Na
0.1811 0.1811 0.1811 Na
0.3189 0.6811 0.3189 Na
0.8189 0.1811 0.8189 Na
0.5000 0.7500 0.0000 Al
0.2500 0.0000 0.5000 Al
0.7500 0.0000 0.5000 Al
0.0000 0.5000 0.7500 Al
0.5000 0.2500 0.0000 Al
0.0000 0.5000 0.2500 Al
0.1449 0.1453 0.4309 O
0.8547 0.5691 0.1449 O
0.3547 0.3551 0.9309 O
0.9309 0.6453 0.6449 O
0.8551 0.8547 0.4309 O
0.6449 0.0691 0.3547 O
0.3551 0.0691 0.6453 O
0.1449 0.8547 0.5691 O
0.8547 0.4309 0.8551 O
0.4309 0.8551 0.8547 O
0.6453 0.6449 0.9309 O
0.1453 0.4309 0.1449 O
0.6449 0.9309 0.6453 O
0.5691 0.1449 0.8547 O
0.3547 0.6449 0.0691 O
0.4309 0.1449 0.1453 O
0.3551 0.9309 0.3547 O
0.9309 0.3547 0.3551 O
0.8551 0.1453 0.5691 O
0.5691 0.8551 0.1453 O
0.0691 0.6453 0.3551 O
0.1453 0.5691 0.8551 O
0.0691 0.3547 0.6449 O
0.6453 0.3551 0.0691 O
0.5000 0.0000 0.7500 Ge
0.5000 0.0000 0.2500 Ge
0.0000 0.2500 0.5000 Ge
0.0000 0.7500 0.5000 Ge
0.2500 0.5000 0.0000 Ge
0.7500 0.5000 0.0000 Ge
0.5000 0.5000 0.5000 Br
0.0000 0.0000 0.0000 Br
```

Output
The piezoelectric modulus e_max comes out at 0.19 C/m². The spin magnetization comes out at 0.00 Bohr magnetons per cell.

***

[6]
VASP calculation (PBE-GGA) on a relaxed structure of AlH15Br3N5.

Cell and atoms, written as POSCAR:
```
AlH15Br3N5
1.0
-0.3130 6.3551 2.9845
-10.4343 1.1530 -3.5493
-4.7059 -5.8381 11.9380
H Al N Br
60 4 20 12
Direct
0.6247 0.3248 0.2935 H
0.5316 0.9661 0.6100 H
0.4806 0.2500 0.2229 H
0.4684 0.0339 0.3900 H
0.8969 0.8242 0.4707 H
0.9669 0.2500 0.4547 H
0.0369 0.3246 0.2895 H
0.9631 0.8246 0.7105 H
0.1031 0.1758 0.5293 H
0.5331 0.2500 0.9547 H
0.9684 0.5339 0.1100 H
0.3753 0.6752 0.7065 H
0.0331 0.7500 0.5453 H
0.5369 0.8246 0.2105 H
0.6734 0.7500 0.2843 H
0.6031 0.6758 0.9707 H
0.9631 0.6754 0.7105 H
0.7766 0.9648 0.1759 H
0.2234 0.4648 0.8241 H
0.3969 0.1758 0.0293 H
0.7234 0.5352 0.6759 H
0.2575 0.4748 0.4406 H
0.4669 0.7500 0.0453 H
0.0369 0.1754 0.2895 H
0.6031 0.8242 0.9707 H
0.8969 0.6758 0.4707 H
0.1734 0.2500 0.2157 H
0.4684 0.4661 0.3900 H
0.7234 0.9648 0.6759 H
0.2766 0.0352 0.3241 H
0.0316 0.4661 0.8900 H
0.2234 0.0352 0.8241 H
0.3969 0.3242 0.0293 H
0.2425 0.0252 0.9406 H
0.4631 0.1754 0.7895 H
0.2575 0.0252 0.4406 H
0.7425 0.5252 0.5594 H
0.2425 0.4748 0.9406 H
0.7766 0.5352 0.1759 H
0.3753 0.8248 0.7065 H
0.8753 0.1752 0.7935 H
0.1247 0.6752 0.2065 H
0.7575 0.9748 0.0594 H
0.0194 0.2500 0.7229 H
0.9806 0.7500 0.2771 H
0.5369 0.6754 0.2105 H
0.4631 0.3246 0.7895 H
0.7425 0.9748 0.5594 H
0.3266 0.2500 0.7157 H
0.1247 0.8248 0.2065 H
0.2766 0.4648 0.3241 H
0.8266 0.7500 0.7843 H
0.6247 0.1752 0.2935 H
0.7575 0.5252 0.0594 H
0.5316 0.5339 0.6100 H
0.5194 0.7500 0.7771 H
0.9684 0.9661 0.1100 H
0.8753 0.3248 0.7935 H
0.1031 0.3242 0.5293 H
0.0316 0.0339 0.8900 H
0.3252 0.2500 0.3914 Al
0.6748 0.7500 0.6086 Al
0.8252 0.7500 0.1086 Al
0.1748 0.2500 0.8914 Al
0.8315 0.5672 0.1129 N
0.1003 0.2500 0.4851 N
0.3315 0.0672 0.3871 N
0.3997 0.2500 0.9851 N
0.1242 0.2500 0.2844 N
0.3758 0.2500 0.7844 N
0.6003 0.7500 0.0149 N
0.1685 0.0672 0.8871 N
0.6685 0.9328 0.6129 N
0.6685 0.5672 0.6129 N
0.6242 0.7500 0.2156 N
0.9625 0.2500 0.7898 N
0.4625 0.7500 0.7102 N
0.8758 0.7500 0.7156 N
0.5375 0.2500 0.2898 N
0.8315 0.9328 0.1129 N
0.3315 0.4328 0.3871 N
0.1685 0.4328 0.8871 N
0.0375 0.7500 0.2102 N
0.8997 0.7500 0.5149 N
0.6608 0.9981 0.8539 Br
0.3392 0.4981 0.1461 Br
0.8392 0.5019 0.3539 Br
0.8392 0.9981 0.3539 Br
0.6608 0.5019 0.8539 Br
0.5585 0.2500 0.5267 Br
0.0585 0.7500 0.9733 Br
0.4415 0.7500 0.4733 Br
0.1608 0.0019 0.6461 Br
0.3392 0.0019 0.1461 Br
0.1608 0.4981 0.6461 Br
0.9415 0.2500 0.0267 Br
```

Output
The spin magnetization comes out at 0.00 Bohr magnetons per cell.

***

[7]
VASP calculation (PBE-GGA) on a relaxed structure of AlH15Br3N5.

Cell and atoms, written as POSCAR:
```
AlH15Br3N5
1.0
9.0544 0.0000 0.0000
0.0000 11.1185 0.0000
0.0000 0.0000 15.9822
H Al Br N
60 4 12 20
Direct
0.0989 0.7500 0.1866 H
0.0915 0.8239 0.8967 H
0.8712 0.9334 0.0169 H
0.3949 0.1348 0.1644 H
0.9855 0.9786 0.0862 H
0.1708 0.0979 0.6968 H
0.3703 0.1879 0.7694 H
0.5915 0.1761 0.6033 H
0.6708 0.5979 0.8032 H
0.8703 0.6879 0.7306 H
0.0145 0.4786 0.9138 H
0.8703 0.8121 0.7306 H
0.4085 0.8239 0.3967 H
0.9085 0.3239 0.1033 H
0.8712 0.5666 0.0169 H
0.6971 0.2500 0.6673 H
0.9855 0.5214 0.0862 H
0.1288 0.0666 0.9831 H
0.9272 0.7500 0.7503 H
0.4855 0.4786 0.4138 H
0.4855 0.0214 0.4138 H
0.5728 0.7500 0.2503 H
0.1297 0.3121 0.2694 H
0.6051 0.6348 0.8356 H
0.0728 0.2500 0.2497 H
0.4272 0.2500 0.7497 H
0.3292 0.0979 0.1968 H
0.9011 0.2500 0.8134 H
0.6288 0.9334 0.5169 H
0.5145 0.9786 0.5862 H
0.8949 0.6348 0.3356 H
0.1051 0.1348 0.6644 H
0.0915 0.6761 0.8967 H
0.3949 0.3652 0.1644 H
0.4085 0.6761 0.3967 H
0.1051 0.3652 0.6644 H
0.1297 0.1879 0.2694 H
0.6297 0.6879 0.2306 H
0.8292 0.9021 0.3032 H
0.1971 0.7500 0.8327 H
0.3712 0.4334 0.4831 H
0.1708 0.4021 0.6968 H
0.6051 0.8652 0.8356 H
0.3712 0.0666 0.4831 H
0.3703 0.3121 0.7694 H
0.0145 0.0214 0.9138 H
0.3292 0.4021 0.1968 H
0.6288 0.5666 0.5169 H
0.9085 0.1761 0.1033 H
0.1288 0.4334 0.9831 H
0.6708 0.9021 0.8032 H
0.8029 0.2500 0.1673 H
0.6297 0.8121 0.2306 H
0.3029 0.7500 0.3327 H
0.5989 0.2500 0.3134 H
0.8292 0.5979 0.3032 H
0.5915 0.3239 0.6033 H
0.8949 0.8652 0.3356 H
0.4011 0.7500 0.6866 H
0.5145 0.5214 0.5862 H
0.8519 0.7500 0.4118 Al
0.3519 0.2500 0.0882 Al
0.1481 0.2500 0.5882 Al
0.6481 0.7500 0.9118 Al
0.5464 0.2500 0.9979 Br
0.3097 0.0259 0.7680 Br
0.1903 0.0259 0.2680 Br
0.8097 0.9741 0.7320 Br
0.8097 0.5259 0.7320 Br
0.4536 0.7500 0.0021 Br
0.0464 0.7500 0.5021 Br
0.6903 0.9741 0.2320 Br
0.6903 0.5259 0.2320 Br
0.3097 0.4741 0.7680 Br
0.9536 0.2500 0.4979 Br
0.1903 0.4741 0.2680 Br
0.0324 0.7500 0.1315 N
0.4068 0.7500 0.3579 N
0.0609 0.5048 0.9694 N
0.9391 0.0048 0.0306 N
0.9391 0.4952 0.0306 N
0.9022 0.7500 0.1375 N
0.9676 0.2500 0.8685 N
0.0978 0.2500 0.8625 N
0.4676 0.7500 0.6315 N
0.0932 0.7500 0.8579 N
0.4022 0.2500 0.3625 N
0.5324 0.2500 0.3685 N
0.5932 0.2500 0.6421 N
0.9068 0.2500 0.1421 N
0.0609 0.9952 0.9694 N
0.4391 0.5048 0.4694 N
0.4391 0.9952 0.4694 N
0.5609 0.4952 0.5306 N
0.5609 0.0048 0.5306 N
0.5978 0.7500 0.6375 N
```

Output
The spin magnetization comes out at 0.00 Bohr magnetons per cell.

***

no.,DFT formation energy (meV per atom),electronic total energy (eV for the cell shown)
1,-1214,-39.08
2,-980,-68.27
3,-2906,-303.37
4,-2622,-291.65
5,-2576,-284.82
6,-685,-463.49
7,11,-396.62